! Ba2PuTiO6 (PBE, relaxed); values from VASP
&SYSTEM
  ibrav = 0, nat = 10, ntyp = 4
/
ATOMIC_SPECIES
Ba 137.33 Ba.upf
Pu 244.00 Pu.upf
Ti 47.87 Ti.upf
O 16.00 O.upf
ATOMIC_POSITIONS crystal
Ba 0.250 0.250 0.250
Ba 0.750 0.750 0.750
Pu 0.500 0.500 0.500
Ti 0.000 0.000 0.000
O 0.762 0.238 0.238
O 0.238 0.762 0.762
O 0.238 0.762 0.238
O 0.762 0.238 0.762
O 0.238 0.238 0.762
O 0.762 0.762 0.238
CELL_PARAMETERS angstrom
5.085 -2.713 1.522
2.103 0.509 5.555
-0.109 -4.696 3.671
! E_form, eV per formula unit: -34.487
! Energy, eV/atom: -8.6054
! Crystal system: cubic
! Symmetry: Fm-3m, No. 225

***

! Ba2PuZnO6 (PBE, relaxed); values from VASP
&SYSTEM
  ibrav = 0, nat = 10, ntyp = 4
/
ATOMIC_SPECIES
Ba 137.33 Ba.upf
Pu 244.00 Pu.upf
Zn 65.41 Zn.upf
O 16.00 O.upf
ATOMIC_POSITIONS crystal
Ba 0.250 0.250 0.250
Ba 0.750 0.750 0.750
Pu 0.500 0.500 0.500
Zn 0.000 0.000 0.000
O 0.746 0.254 0.254
O 0.254 0.746 0.746
O 0.254 0.746 0.254
O 0.746 0.254 0.746
O 0.254 0.254 0.746
O 0.746 0.746 0.254
CELL_PARAMETERS angstrom
0.046 -2.870 5.239
-4.978 -2.615 2.017
-0.396 -5.959 0.145
! E_form, eV per formula unit: -29.107
! Energy, eV/atom: -7.4039
! Crystal system: cubic
! Symmetry: Fm-3m, No. 225

***

! Ba5Re3O16 (PBE, relaxed); values from VASP
&SYSTEM
  ibrav = 0, nat = 48, ntyp = 3
/
ATOMIC_SPECIES
Ba 137.33 Ba.upf
Re 186.21 Re.upf
O 16.00 O.upf
ATOMIC_POSITIONS crystal
Ba 0.667 0.333 0.503
Ba 0.333 0.667 0.503
Ba 0.333 0.667 0.003
Ba 0.667 0.333 0.003
Ba 0.260 0.260 0.240
Ba 0.740 0.000 0.240
Ba 0.000 0.740 0.240
Ba 0.740 0.740 0.740
Ba 0.260 0.000 0.740
Ba 0.000 0.260 0.740
Re 0.390 0.390 0.795
Re 0.610 0.000 0.795
Re 0.000 0.610 0.795
Re 0.610 0.610 0.295
Re 0.390 0.000 0.295
Re 0.000 0.390 0.295
O 0.000 0.000 0.179
O 0.000 0.000 0.679
O 0.297 0.297 0.616
O 0.703 0.000 0.616
O 0.000 0.703 0.616
O 0.703 0.703 0.116
O 0.297 0.000 0.116
O 0.000 0.297 0.116
O 0.577 0.446 0.759
O 0.554 0.131 0.759
O 0.869 0.423 0.759
O 0.446 0.577 0.759
O 0.131 0.554 0.759
O 0.423 0.869 0.759
O 0.423 0.554 0.259
O 0.446 0.869 0.259
O 0.131 0.577 0.259
O 0.554 0.423 0.259
O 0.869 0.446 0.259
O 0.577 0.131 0.259
O 0.386 0.254 0.935
O 0.746 0.131 0.935
O 0.869 0.614 0.935
O 0.254 0.386 0.935
O 0.131 0.746 0.935
O 0.614 0.869 0.935
O 0.614 0.746 0.435
O 0.254 0.869 0.435
O 0.131 0.386 0.435
O 0.746 0.614 0.435
O 0.869 0.254 0.435
O 0.386 0.131 0.435
CELL_PARAMETERS angstrom
5.539 -9.594 0.000
5.539 9.594 0.000
0.000 0.000 7.964
! E_form, eV per formula unit: -64.462
! Energy, eV/atom: -7.4819
! Crystal system: hexagonal
! Symmetry: P6_3cm, No. 185

***

! Ba3Re2O9 (PBE, relaxed); values from VASP
&SYSTEM
  ibrav = 0, nat = 14, ntyp = 3
/
ATOMIC_SPECIES
Ba 137.33 Ba.upf
Re 186.21 Re.upf
O 16.00 O.upf
ATOMIC_POSITIONS crystal
Ba 0.000 0.000 0.000
Ba 0.211 0.211 0.211
Ba 0.789 0.789 0.789
Re 0.391 0.391 0.391
Re 0.609 0.609 0.609
O 0.500 0.500 0.000
O 0.000 0.500 0.500
O 0.500 0.000 0.500
O 0.279 0.753 0.279
O 0.753 0.279 0.279
O 0.279 0.279 0.753
O 0.721 0.721 0.247
O 0.247 0.721 0.721
O 0.721 0.247 0.721
CELL_PARAMETERS angstrom
-2.797 5.349 -4.913
-6.285 4.575 -0.373
-1.427 7.648 0.207
! E_form, eV per formula unit: -37.619
! Energy, eV/atom: -7.6153
! Crystal system: trigonal
! Symmetry: R-3m, No. 166

***

no.,mass density (kg/m³)
1,7344
2,7490
3,5890
4,7584